DFT (GGA-PBE) results for a relaxed Er6MnBi2 crystal.

a b c (Å): 8.2407 8.2407 4.2579
angles (deg): 90.00 90.00 120.00
With the nearest neighbours (Å) after each atom.
Fractional positions:
Er1 0.2328 0.0000 0.0000  2 Mn 2.87
Er2 0.0000 0.2328 0.0000  2 Mn 2.87
Bi1 0.6667 0.3333 0.0000  9 Er 3.24-3.32
Er3 0.6105 0.0000 0.5000  1 Mn 3.21, 4 Bi 3.32, 4 Er 3.52
Er4 0.3895 0.3895 0.5000  1 Mn 3.21, 4 Bi 3.32, 4 Er 3.52
Er5 0.0000 0.6105 0.5000  1 Mn 3.21, 4 Bi 3.32, 4 Er 3.52
Bi2 0.3333 0.6667 0.0000  9 Er 3.24-3.32
Mn1 0.0000 0.0000 0.5000  6 Er 2.87
Er6 0.7672 0.7672 0.0000  2 Mn 2.87

The value obtained for the total DFT energy (no corrections) is -0.3920 Ry per atom. For the formation energy, the calculation gives -0.406 eV per atom. The symmetry is No. 189.

DFT (GGA-PBE) results for a relaxed Er5Ni2Bi crystal.

a b c (Å): 8.6451 8.6451 8.6451
angles (deg): 128.01 128.01 76.60
With the nearest neighbours (Å) after each atom.
Fractional positions:
Er1 0.7089 0.5237 0.5000  3 Ni 2.84-2.92
Er2 0.9763 0.7911 0.5000  3 Ni 2.84-2.92
Bi1 0.2500 0.2500 0.0000  10 Er 3.26-3.39
Er3 0.4763 0.9763 0.1852  3 Ni 2.84-2.92
Er4 0.0000 0.0000 0.0000  4 Ni 2.98
Er5 0.5237 0.0237 0.8148  3 Ni 2.84-2.92
Er6 0.7911 0.2911 0.8148  3 Ni 2.84-2.92
Er7 0.0237 0.2089 0.5000  3 Ni 2.84-2.92
Er8 0.2911 0.4763 0.5000  3 Ni 2.84-2.92
Ni1 0.1287 0.6287 0.7574  1 Ni 2.76, 8 Er 2.84-2.98
Ni2 0.3713 0.1287 0.5000  1 Ni 2.76, 8 Er 2.84-2.98
Ni3 0.8713 0.3713 0.2426  1 Ni 2.76, 8 Er 2.84-2.98
Er9 0.2089 0.7089 0.1852  3 Ni 2.84-2.92
Ni4 0.6287 0.8713 0.5000  1 Ni 2.76, 8 Er 2.84-2.98
Er10 0.5000 0.5000 0.0000  4 Ni 2.98
Bi2 0.7500 0.7500 0.0000  10 Er 3.26-3.39

The value obtained for the total DFT energy (no corrections) is -0.3861 Ry per atom. For the formation energy, the calculation gives -0.467 eV per atom. The symmetry is No. 140.